KCa3 GGA-PBE relaxed; crystal system = cubic; energy relative to the elements = 0.172 eV per atom; VASP energy = -1.610 eV per atom
1.0
5.753 0.000 0.000
0.000 5.753 0.000
0.000 0.000 5.753
K Ca
1 3
direct
0.000 0.000 0.000
0.000 0.500 0.500
0.500 0.000 0.500
0.500 0.500 0.000

Gd2Zr2O7 GGA-PBE relaxed; crystal system = orthorhombic; energy relative to the elements = -3.766 eV per atom; VASP energy = -10.591 eV per atom
1.0
7.560 0.000 0.000
0.000 7.582 0.000
0.000 0.000 10.593
Gd Zr O
8 8 28
direct
0.500 0.000 0.500
0.500 0.500 0.000
0.739 0.750 0.250
0.000 0.000 0.000
0.739 0.250 0.250
0.261 0.250 0.750
0.000 0.500 0.500
0.261 0.750 0.750
0.254 0.750 0.250
0.746 0.250 0.750
0.254 0.250 0.250
0.500 0.500 0.500
0.000 0.500 0.000
0.746 0.750 0.750
0.500 0.000 0.000
0.000 0.000 0.500
0.477 0.749 0.377
0.523 0.251 0.623
0.477 0.251 0.377
0.949 0.287 0.879
0.523 0.249 0.877
0.241 0.500 0.893
0.753 0.500 0.668
0.759 0.500 0.107
0.259 0.500 0.611
0.523 0.751 0.877
0.477 0.751 0.123
0.949 0.713 0.879
0.051 0.713 0.121
0.523 0.749 0.623
0.051 0.787 0.379
0.753 0.000 0.832
0.247 0.000 0.168
0.759 0.000 0.393
0.241 0.000 0.607
0.741 0.000 0.111
0.051 0.213 0.379
0.949 0.213 0.621
0.477 0.249 0.123
0.051 0.287 0.121
0.247 0.500 0.332
0.741 0.500 0.389
0.949 0.787 0.621
0.259 0.000 0.889

Rb3IO GGA-PBE relaxed; crystal system = hexagonal; energy relative to the elements = -1.327 eV per atom; VASP energy = -3.072 eV per atom
1.0
4.025 -6.971 0.000
4.025 6.971 0.000
0.000 0.000 20.013
Rb I O
18 6 6
direct
0.332 0.166 0.419
0.332 0.166 0.081
0.834 0.668 0.081
0.166 0.332 0.581
0.668 0.834 0.581
0.166 0.834 0.919
0.834 0.668 0.419
0.834 0.166 0.081
0.834 0.166 0.419
0.480 0.520 0.750
0.668 0.834 0.919
0.166 0.332 0.919
0.520 0.480 0.250
0.959 0.480 0.250
0.520 0.041 0.250
0.480 0.959 0.750
0.041 0.520 0.750
0.166 0.834 0.581
0.333 0.667 0.411
0.667 0.333 0.911
0.667 0.333 0.589
0.333 0.667 0.089
0.000 0.000 0.750
0.000 0.000 0.250
0.333 0.667 0.659
0.667 0.333 0.159
0.667 0.333 0.341
0.333 0.667 0.841
0.000 0.000 0.500
0.000 0.000 0.000

no.,density (Mg/m³)
1,1.39
2,6.66
3,3.54